Entry P
Computed, not measured: a relaxed Li5Co2O6 crystal at the PBE with a Hubbard U level of DFT.

abc: 12.5266 12.7291 3.4914
angles: 90.00 90.00 90.00
With the nearest neighbours (Å) after each atom.
Space group Cmmm (No. 65)
Asymmetric unit:
Li 0.1045 0.2162 0.0000 (multiplicity 8)  4 O 1.96-2.03
Li 0.1705 0.5000 0.0000 (multiplicity 4)  4 O 1.98-1.99
Li 0.2379 0.3654 0.5000 (multiplicity 8)  3 O 1.89-1.92
Co 0.0000 0.3848 0.5000 (multiplicity 4)  4 O 1.75-1.89
Co 0.1106 0.0000 0.0000 (multiplicity 4)  4 O 1.79-1.84
O 0.0000 0.0947 0.0000 (multiplicity 4)  2 Co 1.84, 2 Li 2.03
O 0.0957 0.5000 0.5000 (multiplicity 4)  2 Co 1.89, 2 Li 1.98
O 0.1053 0.2941 0.5000 (multiplicity 8)  1 Co 1.75, 1 Li 1.89
O 0.2087 0.1018 0.0000 (multiplicity 8)  1 Co 1.79, 4 Li 1.92-1.99


Entry Q
Computed, not measured: a relaxed Li5Co2O6 crystal at the PBE with a Hubbard U level of DFT.

abc: 5.4395 5.4691 5.5664
angles: 61.69 89.94 89.09
With the nearest neighbours (Å) after each atom.
Space group P1 (No. 1)
Asymmetric unit:
Li 0.0000 0.0000 0.0000 (multiplicity 1)  4 O 1.92-2.10
Li 0.0171 0.4956 0.3914 (multiplicity 1)  4 O 1.91-2.01
Li 0.4469 0.7758 0.2312 (multiplicity 1)  3 O 1.99-2.11
Li 0.7366 0.5078 0.9872 (multiplicity 1)  4 O 1.94-2.05
Li 0.7860 0.0118 0.3817 (multiplicity 1)  3 O 1.93-2.01
Co 0.2335 0.8380 0.6837 (multiplicity 1)  4 O 1.76-1.88
Co 0.5463 0.1987 0.6890 (multiplicity 1)  3 O 1.77-1.94
O 0.0883 0.6265 0.9951 (multiplicity 1)  1 Co 1.76
O 0.1173 0.8439 0.3811 (multiplicity 1)  1 Co 1.79, 2 Li 1.96-1.98
O 0.1903 0.1848 0.6727 (multiplicity 1)  2 Co 1.88-1.94, 2 Li 1.91-1.92
O 0.5732 0.8283 0.6932 (multiplicity 1)  2 Co 1.85-2.02, 2 Li 1.93-1.94
O 0.6663 0.1284 0.0162 (multiplicity 1)  1 Co 1.79, 2 Li 1.93-1.95
O 0.6663 0.4419 0.3699 (multiplicity 1)  1 Co 1.77, 1 Li 1.95

Output
Maximum piezoelectric response   0.413 C/m2


Most stable to least stable, the ends of the list are entry Q and entry P.


Entry P
Computed, not measured: a relaxed ZnW4O8 crystal at the PBE with a Hubbard U level of DFT.

abc: 10.7415 10.7415 3.3008
angles: 90.00 90.00 90.00
With the nearest neighbours (Å) after each atom.
Space group I4/m (No. 87)
Asymmetric unit:
Zn 0.0000 0.0000 0.0000 (multiplicity 2)  2 Zn 3.30, 8 O 3.36
W 0.1588 0.3406 0.0000 (multiplicity 8)  6 O 1.97-2.13
O 0.0362 0.6562 0.0000 (multiplicity 8)  3 W 2.09-2.12
O 0.1666 0.2156 0.5000 (multiplicity 8)  3 W 1.97-2.13


Entry Q
Computed, not measured: a relaxed ZnW4O8 crystal at the PBE with a Hubbard U level of DFT.

abc: 6.5585 6.5585 14.5030
angles: 90.00 90.00 120.00
With the nearest neighbours (Å) after each atom.
Space group R-3m (No. 166, hexagonal axes)
Asymmetric unit:
Zn 0.0000 0.0000 0.0000 (multiplicity 3)  6 O 2.26
W 0.0000 0.0000 0.5000 (multiplicity 3)  6 O 2.25
W 0.0000 0.5000 0.5000 (multiplicity 9)  6 O 2.10-2.14
O 0.0000 0.0000 0.2287 (multiplicity 6)  3 W 2.10
O 0.0152 0.5076 0.7598 (multiplicity 18)  3 W 2.14-2.25, 1 Zn 2.26


Most stable to least stable, the ends of the list are entry P and entry Q.


Entry P
Computed, not measured: a relaxed Li3Cr4P6O24 crystal at the PBE with a Hubbard U level of DFT.

abc: 6.3588 8.4815 8.7581
angles: 91.46 106.88 105.54
With the nearest neighbours (Å) after each atom.
Space group P-1 (No. 2)
Asymmetric unit:
Li 0.0000 0.0000 0.0000 (multiplicity 1)  4 O 2.05-2.26
Li 0.2609 0.7869 0.2052 (multiplicity 2)  3 O 1.97-2.18
Cr 0.1343 0.8766 0.5595 (multiplicity 2)  6 O 1.91-2.10
Cr 0.3652 0.4409 0.1186 (multiplicity 2)  6 O 1.96-2.07
P 0.1322 0.6475 0.8521 (multiplicity 2)  4 O 1.51-1.59
P 0.2479 0.2141 0.7822 (multiplicity 2)  4 O 1.55-1.57
P 0.3498 0.1450 0.3490 (multiplicity 2)  4 O 1.50-1.60
O 0.0258 0.2364 0.6590 (multiplicity 2)  1 P 1.57
O 0.0928 0.4869 0.1558 (multiplicity 2)  1 P 1.55
O 0.1283 0.6931 0.6817 (multiplicity 2)  1 P 1.55
O 0.1748 0.0959 0.4510 (multiplicity 2)  1 P 1.60
O 0.1745 0.7975 0.9661 (multiplicity 2)  1 P 1.51
O 0.2255 0.2373 0.9523 (multiplicity 2)  1 P 1.55
O 0.2643 0.0368 0.7520 (multiplicity 2)  1 P 1.56
O 0.2699 0.0209 0.2041 (multiplicity 2)  1 P 1.50
O 0.3285 0.5590 0.9121 (multiplicity 2)  1 P 1.59
O 0.3736 0.3226 0.3085 (multiplicity 2)  1 P 1.53
O 0.4151 0.8536 0.5264 (multiplicity 2)  1 P 1.57
O 0.4689 0.3341 0.7636 (multiplicity 2)  1 P 1.55


Entry Q
Computed, not measured: a relaxed Li3Cr4P6O24 crystal at the PBE with a Hubbard U level of DFT.

abc: 11.6529 11.7209 11.7633
angles: 90.00 90.00 90.00
With the nearest neighbours (Å) after each atom.
Space group I2_12_12_1 (No. 24)
Asymmetric unit:
Li 0.1226 0.0000 0.2500 (multiplicity 4)  8 O 2.26-2.47
Li 0.1247 0.5000 0.7500 (multiplicity 4)  8 O 2.28-2.45
Li 0.2500 0.1280 0.0000 (multiplicity 4)  8 O 2.25-2.47
Cr 0.0021 0.4987 0.5004 (multiplicity 8)  6 O 1.96-2.00
Cr 0.2494 0.2510 0.7480 (multiplicity 8)  6 O 1.96-2.00
P 0.0000 0.2500 0.3744 (multiplicity 4)  4 O 1.55
P 0.0000 0.2500 0.8765 (multiplicity 4)  4 O 1.55-1.56
P 0.1241 0.5000 0.2500 (multiplicity 4)  4 O 1.55
P 0.1253 0.0000 0.7500 (multiplicity 4)  4 O 1.55-1.56
P 0.2500 0.1242 0.5000 (multiplicity 4)  4 O 1.54-1.57
P 0.2500 0.3723 0.0000 (multiplicity 4)  4 O 1.55-1.56
O 0.0408 0.4561 0.1570 (multiplicity 8)  1 P 1.55
O 0.0418 0.0454 0.6580 (multiplicity 8)  1 P 1.55
O 0.0468 0.3444 0.4541 (multiplicity 8)  1 P 1.55
O 0.0494 0.1553 0.9542 (multiplicity 8)  1 P 1.55
O 0.0935 0.2994 0.7953 (multiplicity 8)  1 P 1.56
O 0.0949 0.2019 0.2952 (multiplicity 8)  1 P 1.55
O 0.1571 0.0396 0.4535 (multiplicity 8)  1 P 1.57
O 0.1567 0.4534 0.9509 (multiplicity 8)  1 P 1.56
O 0.2023 0.2027 0.5938 (multiplicity 8)  1 P 1.54
O 0.2059 0.2897 0.0934 (multiplicity 8)  1 P 1.55
O 0.2088 0.4077 0.2942 (multiplicity 8)  1 P 1.55
O 0.2099 0.0921 0.7968 (multiplicity 8)  1 P 1.56


Most stable to least stable, the ends of the list are entry P and entry Q.


Entry P
Computed, not measured: a relaxed MgTi3Fe2CoP6O24 crystal at the PBE with a Hubbard U level of DFT.

abc: 8.6211 8.6505 8.6586
angles: 61.18 60.31 61.31
With the nearest neighbours (Å) after each atom.
Space group P1 (No. 1)
Asymmetric unit:
Mg 0.0000 0.0000 0.0000 (multiplicity 1)  6 O 2.14-2.22
Ti 0.1470 0.1440 0.1421 (multiplicity 1)  6 O 1.94-2.12
Ti 0.3493 0.3591 0.3453 (multiplicity 1)  6 O 1.89-2.11
Ti 0.6477 0.6413 0.6161 (multiplicity 1)  6 O 1.94-2.14
Fe 0.4888 0.5028 0.4910 (multiplicity 1)  6 O 2.18-2.28
Fe 0.8711 0.8668 0.8600 (multiplicity 1)  6 O 2.07-2.23
Co 0.6981 0.7525 0.7926 (multiplicity 1)  5 O 2.00-2.15
P 0.0367 0.7508 0.4386 (multiplicity 1)  4 O 1.52-1.57
P 0.2529 0.5451 0.9515 (multiplicity 1)  4 O 1.54-1.57
P 0.4424 0.0620 0.7403 (multiplicity 1)  4 O 1.54-1.59
P 0.5419 0.9621 0.2444 (multiplicity 1)  4 O 1.53-1.58
P 0.7563 0.4415 0.0470 (multiplicity 1)  4 O 1.54-1.58
P 0.9547 0.2500 0.5395 (multiplicity 1)  4 O 1.54-1.58
O 0.0016 0.1726 0.3887 (multiplicity 1)  1 P 1.54
O 0.0607 0.9126 0.2492 (multiplicity 1)  1 P 1.56
O 0.1018 0.7373 0.9487 (multiplicity 1)  1 P 1.54
O 0.1058 0.3350 0.4776 (multiplicity 1)  1 P 1.54
O 0.1820 0.3882 0.0000 (multiplicity 1)  1 P 1.54
O 0.2336 0.5966 0.4262 (multiplicity 1)  1 P 1.57
O 0.2515 0.0643 0.9037 (multiplicity 1)  1 P 1.55
O 0.3354 0.4908 0.1002 (multiplicity 1)  1 P 1.55
O 0.3910 0.0010 0.1720 (multiplicity 1)  1 P 1.54
O 0.4100 0.5601 0.7521 (multiplicity 1)  1 P 1.57
O 0.4207 0.2523 0.5828 (multiplicity 1)  1 P 1.55
O 0.4785 0.1141 0.3272 (multiplicity 1)  1 P 1.54
O 0.4978 0.8941 0.6748 (multiplicity 1)  1 P 1.59
O 0.5514 0.7654 0.4019 (multiplicity 1)  1 P 1.58
O 0.5894 0.4283 0.2374 (multiplicity 1)  1 P 1.56
O 0.6031 0.0222 0.7984 (multiplicity 1)  1 P 1.54
O 0.6986 0.4920 0.8766 (multiplicity 1)  1 P 1.58
O 0.7385 0.9573 0.0957 (multiplicity 1)  1 P 1.53
O 0.7572 0.4062 0.5497 (multiplicity 1)  1 P 1.58
O 0.8151 0.6034 0.0055 (multiplicity 1)  1 P 1.54
O 0.8884 0.6839 0.4545 (multiplicity 1)  1 P 1.56
O 0.9118 0.2511 0.0605 (multiplicity 1)  1 P 1.54
O 0.9499 0.1035 0.7336 (multiplicity 1)  1 P 1.54
O 0.9623 0.8042 0.6125 (multiplicity 1)  1 P 1.52


Entry Q
Computed, not measured: a relaxed MgTi3Fe2CoP6O24 crystal at the PBE with a Hubbard U level of DFT.

abc: 8.7155 8.7188 8.7303
angles: 90.14 119.91 119.85
With the nearest neighbours (Å) after each atom.
Space group P1 (No. 1)
Asymmetric unit:
Mg 0.0000 0.0000 0.0000 (multiplicity 1)  6 O 2.03-2.09
Ti 0.2129 0.6056 0.3922 (multiplicity 1)  6 O 1.93-2.12
Ti 0.2475 0.1230 0.8779 (multiplicity 1)  6 O 1.99-2.12
Ti 0.7996 0.4001 0.6007 (multiplicity 1)  6 O 1.90-2.10
Fe 0.4985 0.7501 0.2513 (multiplicity 1)  6 O 2.20-2.23
Fe 0.5138 0.2569 0.7446 (multiplicity 1)  6 O 2.21-2.28
Co 0.7634 0.8786 0.1189 (multiplicity 1)  6 O 2.03-2.18
P 0.0021 0.7908 0.4957 (multiplicity 1)  4 O 1.54-1.57
P 0.0071 0.7046 0.9968 (multiplicity 1)  4 O 1.54-1.57
P 0.2965 0.5047 0.7887 (multiplicity 1)  4 O 1.54-1.58
P 0.3053 0.3013 0.2956 (multiplicity 1)  4 O 1.54-1.57
P 0.7075 0.0031 0.6990 (multiplicity 1)  4 O 1.54-1.57
P 0.7157 0.2096 0.2101 (multiplicity 1)  4 O 1.54-1.57
O 0.0636 0.4164 0.7291 (multiplicity 1)  1 P 1.54
O 0.0848 0.1360 0.2468 (multiplicity 1)  1 P 1.54
O 0.1043 0.7428 0.4197 (multiplicity 1)  1 P 1.54
O 0.1237 0.8736 0.9407 (multiplicity 1)  1 P 1.57
O 0.1824 0.6895 0.1596 (multiplicity 1)  1 P 1.55
O 0.1908 0.9893 0.6513 (multiplicity 1)  1 P 1.57
O 0.3093 0.2481 0.1267 (multiplicity 1)  1 P 1.57
O 0.3248 0.5814 0.6395 (multiplicity 1)  1 P 1.54
O 0.3318 0.4918 0.3079 (multiplicity 1)  1 P 1.55
O 0.3428 0.3500 0.7985 (multiplicity 1)  1 P 1.58
O 0.4501 0.6528 0.9853 (multiplicity 1)  1 P 1.54
O 0.4871 0.3226 0.4873 (multiplicity 1)  1 P 1.55
O 0.5317 0.8420 0.5070 (multiplicity 1)  1 P 1.55
O 0.5498 0.1979 0.0105 (multiplicity 1)  1 P 1.57
O 0.6712 0.0149 0.2076 (multiplicity 1)  1 P 1.54
O 0.6767 0.1650 0.6809 (multiplicity 1)  1 P 1.56
O 0.6880 0.2707 0.3552 (multiplicity 1)  1 P 1.54
O 0.7010 0.9468 0.8639 (multiplicity 1)  1 P 1.54
O 0.8123 0.7968 0.3466 (multiplicity 1)  1 P 1.54
O 0.8362 0.5135 0.8349 (multiplicity 1)  1 P 1.55
O 0.8894 0.7530 0.0510 (multiplicity 1)  1 P 1.54
O 0.9145 0.6450 0.5819 (multiplicity 1)  1 P 1.54
O 0.9340 0.0614 0.7524 (multiplicity 1)  1 P 1.57
O 0.9409 0.3598 0.2571 (multiplicity 1)  1 P 1.54


Most stable to least stable, the ends of the list are entry P and entry Q.


Entry P
Computed, not measured: a relaxed Na3Ni2P2C2O14 crystal at the PBE with a Hubbard U level of DFT.

abc: 8.3069 8.3266 10.2205
angles: 108.16 106.81 103.06
With the nearest neighbours (Å) after each atom.
Space group P-1 (No. 2)
Asymmetric unit:
Na 0.0054 0.4916 0.2491 (multiplicity 2)  5 O 2.32-2.54
Na 0.2461 0.2441 0.2471 (multiplicity 2)  5 O 2.30-2.49
Na 0.2750 0.2315 0.7440 (multiplicity 2)  5 O 2.26-2.48
Ni 0.1934 0.9386 0.3480 (multiplicity 2)  6 O 1.98-2.07
Ni 0.3095 0.5633 0.6535 (multiplicity 2)  6 O 1.97-2.08
P 0.0487 0.8016 0.5722 (multiplicity 2)  4 O 1.54-1.55
P 0.4438 0.6950 0.4253 (multiplicity 2)  4 O 1.53-1.57
C 0.0172 0.7725 0.0758 (multiplicity 2)  3 O 1.25-1.30
C 0.4762 0.7328 0.9231 (multiplicity 2)  3 O 1.24-1.30
O 0.0275 0.2714 0.8245 (multiplicity 2)  1 C 1.30
O 0.0308 0.0915 0.3261 (multiplicity 2)  1 P 1.55
O 0.0716 0.3129 0.0620 (multiplicity 2)  1 C 1.25
O 0.0988 0.3402 0.5791 (multiplicity 2)  1 P 1.55
O 0.1472 0.7126 0.6645 (multiplicity 2)  1 P 1.54
O 0.1615 0.9109 0.1331 (multiplicity 2)  1 C 1.29
O 0.1761 0.9332 0.5360 (multiplicity 2)  1 P 1.55
O 0.3184 0.5601 0.4625 (multiplicity 2)  1 P 1.57
O 0.3248 0.7624 0.3244 (multiplicity 2)  1 P 1.54
O 0.3324 0.5911 0.8659 (multiplicity 2)  1 C 1.30
O 0.4090 0.1568 0.4293 (multiplicity 2)  1 P 1.53
O 0.4335 0.1843 0.9406 (multiplicity 2)  1 C 1.24
O 0.4781 0.4143 0.6772 (multiplicity 2)  1 P 1.55
O 0.4817 0.2217 0.1763 (multiplicity 2)  1 C 1.30


Entry Q
Computed, not measured: a relaxed Na3Ni2P2C2O14 crystal at the PBE with a Hubbard U level of DFT.

abc: 8.8023 6.4995 10.2721
angles: 90.00 91.63 90.00
With the nearest neighbours (Å) after each atom.
Space group P2_1 (No. 4)
Asymmetric unit:
Na 0.2436 0.0000 0.1222 (multiplicity 2)  5 O 2.24-2.51
Na 0.2436 0.4571 0.6270 (multiplicity 2)  4 O 2.27-2.42
Na 0.2444 0.9842 0.6243 (multiplicity 2)  5 O 2.28-2.55
Ni 0.1567 0.7172 0.3880 (multiplicity 2)  6 O 1.95-2.06
Ni 0.1575 0.7172 0.8933 (multiplicity 2)  6 O 1.95-2.06
P 0.0749 0.2210 0.8601 (multiplicity 2)  4 O 1.53-1.57
P 0.0765 0.2200 0.3597 (multiplicity 2)  4 O 1.54-1.55
C 0.4282 0.7209 0.3560 (multiplicity 2)  3 O 1.25-1.30
C 0.4297 0.7254 0.8571 (multiplicity 2)  3 O 1.24-1.31
O 0.0337 0.2139 0.2124 (multiplicity 2)  1 P 1.55
O 0.0368 0.2175 0.7096 (multiplicity 2)  1 P 1.57
O 0.0741 0.7288 0.0674 (multiplicity 2)  1 P 1.53
O 0.0749 0.7194 0.5664 (multiplicity 2)  1 P 1.55
O 0.1759 0.0339 0.8953 (multiplicity 2)  1 P 1.54
O 0.1756 0.4064 0.3989 (multiplicity 2)  1 P 1.54
O 0.1778 0.0331 0.3960 (multiplicity 2)  1 P 1.55
O 0.1802 0.4070 0.8868 (multiplicity 2)  1 P 1.54
O 0.3261 0.7229 0.7627 (multiplicity 2)  1 C 1.31
O 0.3273 0.7231 0.2617 (multiplicity 2)  1 C 1.30
O 0.3675 0.7183 0.4702 (multiplicity 2)  1 C 1.30
O 0.3728 0.7273 0.9712 (multiplicity 2)  1 C 1.29
O 0.4315 0.2213 0.6601 (multiplicity 2)  1 C 1.25
O 0.4320 0.2248 0.1643 (multiplicity 2)  1 C 1.24


Most stable to least stable, the ends of the list are entry P and entry Q.